VASP calculation (PBE) on a relaxed Li4Ce3Ge4 crystal.

Structure (POSCAR):
```
Li4Ce3Ge4
1.0
4.485 0.000 0.000
0.000 6.807 0.000
-2.243 -3.403 7.279
Li Ce Ge
4 3 4
Cartesian
2.243 5.518 2.481
0.000 -2.115 4.798
0.000 2.115 4.798
2.243 1.289 2.481
0.000 0.000 0.000
0.000 3.403 1.897
2.243 0.000 5.382
2.243 4.685 0.000
2.243 2.122 0.000
2.243 3.403 4.166
0.000 0.000 3.113
```

## Properties
* total magnetization: 1.848 μB/f.u.
* energy of formation: -605 meV/atom